(1)
Er2TlIn: optimized geometry, PBE-GGA.

a b c (Å): 5.303 5.303 5.303
angles (deg): 60.00 60.00 60.00
Positions (direct):
Er (0.250, 0.250, 0.250)
Er (0.750, 0.750, 0.750)
Tl (0.000, 0.000, 0.000)
In (0.500, 0.500, 0.500)

Output
E: -3.93 eV/atom
Mass density: 10.30 Mg/m³
ΔH_f (0 K): -0.37 eV per atom

=====

(2)
ErTmIn2: optimized geometry, PBE-GGA.

a b c (Å): 5.292 5.292 5.292
angles (deg): 60.00 60.00 60.00
Positions (direct):
Er (0.500, 0.500, 0.500)
Tm (0.000, 0.000, 0.000)
In (0.750, 0.750, 0.750)
In (0.250, 0.250, 0.250)

Output
E: -4.06 eV/atom
Mass density: 8.97 Mg/m³
ΔH_f (0 K): -0.42 eV per atom

=====

(3)
YErIn2: optimized geometry, PBE-GGA.

a b c (Å): 5.301 5.301 5.301
angles (deg): 60.00 60.00 60.00
Positions (direct):
Y (0.000, 0.000, 0.000)
In (0.250, 0.250, 0.250)
Er (0.500, 0.500, 0.500)
In (0.750, 0.750, 0.750)

Output
E: -4.60 eV/atom
Mass density: 7.66 Mg/m³
ΔH_f (0 K): -0.46 eV per atom

=====

(4)
ErZnIn: optimized geometry, PBE-GGA.

a b c (Å): 4.662 4.662 7.146
angles (deg): 90.00 90.00 120.00
Positions (direct):
Zn (0.667, 0.333, 0.750)
Zn (0.333, 0.667, 0.250)
Er (0.000, 0.000, 0.500)
In (0.333, 0.667, 0.750)
In (0.667, 0.333, 0.250)
Er (0.000, 0.000, 0.000)

Output
E: -3.27 eV/atom
Mass density: 8.58 Mg/m³
ΔH_f (0 K): -0.41 eV per atom

=====

(5)
Er4Ir: optimized geometry, PBE-GGA.

a b c (Å): 7.603 7.603 7.603
angles (deg): 60.00 60.00 60.00
Positions (direct):
Er (0.165, 0.612, 0.612)
Er (0.585, 0.138, 0.138)
Er (0.612, 0.612, 0.612)
Er (0.612, 0.165, 0.612)
Ir (0.750, 0.750, 0.750)
Er (0.612, 0.612, 0.165)
Er (0.138, 0.138, 0.585)
Ir (0.000, 0.000, 0.000)
Er (0.138, 0.138, 0.138)
Er (0.138, 0.585, 0.138)

Output
E: -5.32 eV/atom
Mass density: 9.20 Mg/m³
ΔH_f (0 K): 0.10 eV per atom

=====

(6)
Er5Ir3: optimized geometry, PBE-GGA.

a b c (Å): 10.796 10.796 6.334
angles (deg): 90.00 90.00 90.00
Positions (direct):
Er (0.912, 0.709, 0.122)
Ir (0.000, 0.500, 0.881)
Er (0.088, 0.291, 0.122)
Ir (0.846, 0.154, 0.250)
Ir (0.346, 0.346, 0.250)
Ir (0.500, 0.000, 0.619)
Ir (0.654, 0.654, 0.250)
Er (0.791, 0.412, 0.122)
Er (0.588, 0.209, 0.378)
Er (0.709, 0.912, 0.378)
Er (0.000, 0.000, 0.500)
Er (0.291, 0.088, 0.378)
Er (0.209, 0.412, 0.622)
Er (0.500, 0.500, 0.000)
Ir (0.000, 0.500, 0.381)
Er (0.412, 0.791, 0.378)
Ir (0.846, 0.846, 0.750)
Er (0.791, 0.588, 0.622)
Er (0.000, 0.000, 0.000)
Ir (0.154, 0.846, 0.250)
Er (0.412, 0.209, 0.878)
Er (0.500, 0.500, 0.500)
Er (0.291, 0.912, 0.878)
Ir (0.654, 0.346, 0.750)
Er (0.088, 0.709, 0.622)
Er (0.209, 0.588, 0.122)
Er (0.588, 0.791, 0.878)
Er (0.709, 0.088, 0.878)
Ir (0.154, 0.154, 0.750)
Ir (0.346, 0.654, 0.750)
Er (0.912, 0.291, 0.622)
Ir (0.500, 0.000, 0.119)

Output
E: -7.03 eV/atom
Excess energy over the best structure of this formula in the dataset: 0 meV per atom
Mass density: 12.71 Mg/m³
ΔH_f (0 K): -0.86 eV per atom

=====

(7)
ErIr2: optimized geometry, PBE-GGA.

a b c (Å): 5.342 5.342 5.342
angles (deg): 60.00 60.00 60.00
Positions (direct):
Er (0.250, 0.250, 0.250)
Ir (0.625, 0.625, 0.625)
Ir (0.625, 0.625, 0.125)
Er (0.000, 0.000, 0.000)
Ir (0.625, 0.125, 0.625)
Ir (0.125, 0.625, 0.625)

Output
E: -8.26 eV/atom
Mass density: 16.99 Mg/m³
ΔH_f (0 K): -0.84 eV per atom

=====

(8)
Er5Ir3: optimized geometry, PBE-GGA.

a b c (Å): 6.155 8.275 8.274
angles (deg): 120.00 90.00 90.00
Positions (direct):
Ir (0.250, 0.611, 0.611)
Ir (0.750, 0.389, 0.389)
Ir (0.750, 0.000, 0.611)
Er (0.250, 0.738, 0.000)
Er (0.750, 0.738, 0.738)
Er (0.500, 0.667, 0.333)
Er (0.500, 0.333, 0.667)
Ir (0.250, 0.389, 0.000)
Er (0.750, 0.000, 0.262)
Er (0.000, 0.333, 0.667)
Ir (0.750, 0.611, 0.000)
Ir (0.250, 0.000, 0.389)
Er (0.250, 0.262, 0.262)
Er (0.750, 0.262, 0.000)
Er (0.000, 0.667, 0.333)
Er (0.250, 0.000, 0.738)

Output
E: -6.99 eV/atom
Excess energy over the best structure of this formula in the dataset: 36 meV per atom
Mass density: 12.86 Mg/m³
ΔH_f (0 K): -0.82 eV per atom

=====

(9)
Er2NiIr: optimized geometry, PBE-GGA.

a b c (Å): 4.762 4.762 4.762
angles (deg): 60.00 60.00 60.00
Positions (direct):
Er (0.250, 0.250, 0.250)
Er (0.750, 0.750, 0.750)
Ir (0.500, 0.500, 0.500)
Ni (0.000, 0.000, 0.000)

Output
E: -6.65 eV/atom
Mass density: 12.73 Mg/m³
ΔH_f (0 K): -0.71 eV per atom

=====

(10)
ErIrO3: optimized geometry, PBE-GGA.

a b c (Å): 3.963 3.963 3.963
angles (deg): 90.00 90.00 90.00
Positions (direct):
Er (0.000, 0.000, 0.000)
O (0.500, 0.000, 0.500)
O (0.000, 0.500, 0.500)
Ir (0.500, 0.500, 0.500)
O (0.500, 0.500, 0.000)

Output
E: -7.01 eV/atom
Mass density: 10.87 Mg/m³
ΔH_f (0 K): -1.77 eV per atom

=====

(11)
Er5P12Ir19: optimized geometry, PBE-GGA.

a b c (Å): 12.716 12.716 3.965
angles (deg): 90.00 90.00 120.00
Positions (direct):
Ir (0.494, 0.133, 0.500)
Ir (0.000, 0.539, 0.000)
Ir (0.374, 0.193, 0.000)
P (0.177, 0.177, 0.000)
P (0.642, 0.642, 0.000)
Er (0.333, 0.667, 0.000)
Er (0.185, 0.000, 0.500)
Er (0.000, 0.185, 0.500)
P (0.688, 0.171, 0.500)
Ir (0.193, 0.374, 0.000)
Ir (0.716, 0.000, 0.500)
Ir (0.361, 0.867, 0.500)
Ir (0.000, 0.716, 0.500)
Ir (0.000, 0.000, 0.000)
Ir (0.807, 0.181, 0.000)
Ir (0.133, 0.494, 0.500)
Ir (0.819, 0.626, 0.000)
P (0.312, 0.483, 0.500)
Ir (0.461, 0.461, 0.000)
P (0.823, 0.000, 0.000)
Ir (0.181, 0.807, 0.000)
P (0.829, 0.517, 0.500)
Ir (0.284, 0.284, 0.500)
Ir (0.639, 0.506, 0.500)
P (0.171, 0.688, 0.500)
Ir (0.867, 0.361, 0.500)
Ir (0.506, 0.639, 0.500)
P (0.000, 0.823, 0.000)
P (0.483, 0.312, 0.500)
Er (0.815, 0.815, 0.500)
P (0.358, 0.000, 0.000)
Ir (0.626, 0.819, 0.000)
Ir (0.539, 0.000, 0.000)
P (0.000, 0.358, 0.000)
P (0.517, 0.829, 0.500)
Er (0.667, 0.333, 0.000)

Output
E: -7.90 eV/atom
Mass density: 14.54 Mg/m³
ΔH_f (0 K): -0.80 eV per atom

=====

(12)
ErSbIr: optimized geometry, PBE-GGA.

a b c (Å): 4.479 7.130 7.986
angles (deg): 90.00 90.00 90.00
Positions (direct):
Ir (0.750, 0.714, 0.408)
Ir (0.250, 0.286, 0.592)
Er (0.750, 0.487, 0.811)
Sb (0.250, 0.174, 0.913)
Ir (0.750, 0.214, 0.092)
Er (0.250, 0.513, 0.189)
Sb (0.250, 0.674, 0.587)
Sb (0.750, 0.826, 0.087)
Sb (0.750, 0.326, 0.413)
Er (0.250, 0.013, 0.311)
Ir (0.250, 0.786, 0.908)
Er (0.750, 0.987, 0.689)

Output
E: -6.73 eV/atom
Mass density: 12.53 Mg/m³
ΔH_f (0 K): -0.89 eV per atom